# GGA+U V7Sb4N2O22, relaxed
# Formation enthalpy at 0 K: -57.1 eV/f.u.
data_V7Sb4N2O22
_chemical_formula_sum 'V28 Sb16 N8 O88'
_cell_length_a 13.111
_cell_length_b 12.094
_cell_length_c 19.997
_cell_angle_alpha 90.00
_cell_angle_beta 121.07
_cell_angle_gamma 90.00
_symmetry_space_group_name_H-M 'P 1 21/c 1'
_symmetry_Int_Tables_number 14
_symmetry_space_group_name_Hall '-P 2ybc'
loop_
_atom_site_label
_atom_site_type_symbol
_atom_site_fract_x
_atom_site_fract_y
_atom_site_fract_z
_atom_site_occupancy
V1 V 0.002 0.231 0.113 1
V2 V 0.108 0.174 0.381 1
V3 V 0.167 0.664 0.200 1
V4 V 0.238 0.135 0.688 1
V5 V 0.244 0.731 0.038 1
V6 V 0.320 0.076 0.533 1
V7 V 0.340 0.565 0.162 1
Sb1 Sb 0.067 0.614 0.580 1
Sb2 Sb 0.072 0.048 0.766 1
Sb3 Sb 0.237 0.607 0.878 1
Sb4 Sb 0.242 0.165 0.067 1
N1 N 0.285 0.050 0.265 1
N2 N 0.429 0.650 0.753 1
O1 O 0.006 0.116 0.157 1
O2 O 0.028 0.748 0.621 1
O3 O 0.032 0.583 0.192 1
O4 O 0.084 0.703 0.501 1
O5 O 0.090 0.141 0.685 1
O6 O 0.093 0.589 0.775 1
O7 O 0.102 0.074 0.997 1
O8 O 0.148 0.244 0.832 1
O9 O 0.155 0.696 0.924 1
O10 O 0.158 0.246 0.113 1
O11 O 0.211 0.039 0.422 1
O12 O 0.214 0.210 0.494 1
O13 O 0.237 0.728 0.285 1
O14 O 0.247 0.693 0.139 1
O15 O 0.248 0.519 0.209 1
O16 O 0.314 0.091 0.633 1
O17 O 0.323 0.582 0.064 1
O18 O 0.337 0.193 0.767 1
O19 O 0.338 0.670 0.556 1
O20 O 0.433 0.201 0.418 1
O21 O 0.451 0.110 0.548 1
O22 O 0.475 0.589 0.230 1